--- i ---
A plane-wave DFT calculation with PBE was carried out for an optimized crystal structure of Ba6MgP6O21.

Cell lengths 9.316, 7.292, 9.738 Å; angles 90.00, 112.04, 90.00 degrees
Sites, in units of the cell vectors:
Ba 0.000 0.000 0.000
Ba 0.010 0.500 0.308
Ba 0.303 0.500 0.961
Ba 0.444 0.000 0.721
Ba 0.711 0.000 0.312
Ba 0.788 0.500 0.701
Mg 0.376 0.500 0.586
P 0.071 0.215 0.655
P 0.071 0.785 0.655
P 0.314 0.213 0.292
P 0.314 0.787 0.292
P 0.699 0.282 0.995
P 0.699 0.718 0.995
O 0.027 0.235 0.792
O 0.027 0.765 0.792
O 0.115 0.000 0.641
O 0.200 0.286 0.141
O 0.200 0.714 0.141
O 0.226 0.308 0.681
O 0.226 0.692 0.681
O 0.254 0.000 0.292
O 0.280 0.299 0.420
O 0.280 0.701 0.420
O 0.483 0.213 0.310
O 0.483 0.787 0.310
O 0.534 0.253 0.986
O 0.534 0.747 0.986
O 0.730 0.204 0.862
O 0.730 0.796 0.862
O 0.744 0.500 0.995
O 0.823 0.217 0.143
O 0.823 0.783 0.143
O 0.935 0.265 0.511
O 0.935 0.735 0.511

***

--- ii ---
A plane-wave DFT calculation with PBE was carried out for an optimized crystal structure of Ba6MgP6O21.

Cell lengths 7.276, 9.521, 9.521 Å; angles 117.23, 90.00, 90.00 degrees
Sites, in units of the cell vectors:
Ba 0.000 0.000 0.000
Ba 0.000 0.267 0.566
Ba 0.000 0.566 0.267
Ba 0.500 0.294 0.900
Ba 0.500 0.607 0.607
Ba 0.500 0.900 0.294
Mg 0.500 0.949 0.949
P 0.220 0.610 0.943
P 0.220 0.943 0.610
P 0.280 0.283 0.283
P 0.720 0.283 0.283
P 0.780 0.610 0.943
P 0.780 0.943 0.610
O 0.000 0.619 0.987
O 0.000 0.987 0.619
O 0.207 0.430 0.430
O 0.225 0.130 0.289
O 0.225 0.289 0.130
O 0.255 0.459 0.789
O 0.255 0.789 0.459
O 0.266 0.759 0.929
O 0.266 0.929 0.759
O 0.303 0.088 0.603
O 0.303 0.603 0.088
O 0.500 0.317 0.317
O 0.697 0.088 0.603
O 0.697 0.603 0.088
O 0.734 0.759 0.929
O 0.734 0.929 0.759
O 0.745 0.459 0.789
O 0.745 0.789 0.459
O 0.775 0.130 0.289
O 0.775 0.289 0.130
O 0.793 0.430 0.430

***

Which one sits at the top of the stability order? i does.

***

--- i ---
A plane-wave DFT calculation with PBE was carried out for an optimized crystal structure of Rb2Ba8MgSb6O2.

Cell lengths 9.372, 9.864, 10.167 Å; angles 111.31, 115.49, 97.32 degrees
Sites, in units of the cell vectors:
Rb 0.000 0.000 0.000
Rb 0.484 0.471 0.982
Ba 0.181 0.734 0.722
Ba 0.291 0.532 0.338
Ba 0.496 0.011 0.704
Ba 0.505 0.880 0.249
Ba 0.693 0.540 0.724
Ba 0.793 0.229 0.249
Ba 0.960 0.186 0.683
Ba 0.990 0.794 0.293
Mg 0.469 0.214 0.332
Sb 0.105 0.589 0.983
Sb 0.264 0.232 0.479
Sb 0.356 0.139 0.000
Sb 0.632 0.827 0.977
Sb 0.752 0.761 0.518
Sb 0.871 0.380 0.997
O 0.238 0.763 0.508
O 0.688 0.180 0.432

***

--- ii ---
A plane-wave DFT calculation with PBE was carried out for an optimized crystal structure of Rb2Ba8MgSb6O2.

Cell lengths 10.871, 9.345, 10.624 Å; angles 65.60, 51.53, 62.88 degrees
Sites, in units of the cell vectors:
Rb 0.242 0.758 0.758
Rb 0.758 0.242 0.242
Ba 0.037 0.443 0.250
Ba 0.209 0.583 0.417
Ba 0.249 0.944 0.056
Ba 0.443 0.037 0.270
Ba 0.583 0.209 0.791
Ba 0.730 0.750 0.557
Ba 0.750 0.730 0.963
Ba 0.944 0.249 0.751
Mg 0.422 0.422 0.578
Sb 0.133 0.365 0.867
Sb 0.365 0.133 0.635
Sb 0.496 0.496 0.004
Sb 0.617 0.617 0.383
Sb 0.885 0.885 0.115
Sb 0.996 0.996 0.504
O 0.497 0.978 0.022
O 0.978 0.497 0.503

***

Which one sits at the top of the stability order? i does.

***

--- i ---
A plane-wave DFT calculation with PBE was carried out for an optimized crystal structure of BaSrMg14O16.

Cell lengths 8.860, 8.860, 4.594 Å; angles 90.00, 90.00, 90.00 degrees
Sites, in units of the cell vectors:
Ba 0.000 0.000 0.000
Sr 0.500 0.500 0.000
Mg 0.000 0.263 0.500
Mg 0.000 0.500 0.000
Mg 0.000 0.737 0.500
Mg 0.241 0.500 0.500
Mg 0.252 0.252 0.000
Mg 0.252 0.748 0.000
Mg 0.263 0.000 0.500
Mg 0.500 0.000 0.000
Mg 0.500 0.241 0.500
Mg 0.500 0.759 0.500
Mg 0.737 0.000 0.500
Mg 0.748 0.252 0.000
Mg 0.748 0.748 0.000
Mg 0.759 0.500 0.500
O 0.000 0.000 0.500
O 0.000 0.278 0.000
O 0.000 0.500 0.500
O 0.000 0.722 0.000
O 0.233 0.500 0.000
O 0.250 0.250 0.500
O 0.250 0.750 0.500
O 0.278 0.000 0.000
O 0.500 0.000 0.500
O 0.500 0.233 0.000
O 0.500 0.500 0.500
O 0.500 0.767 0.000
O 0.722 0.000 0.000
O 0.750 0.250 0.500
O 0.750 0.750 0.500
O 0.767 0.500 0.000

***

--- ii ---
A plane-wave DFT calculation with PBE was carried out for an optimized crystal structure of BaSrMg14O16.

Cell lengths 4.576, 8.776, 9.133 Å; angles 90.00, 90.00, 90.00 degrees
Sites, in units of the cell vectors:
Ba 0.000 0.000 0.000
Sr 0.000 0.000 0.500
Mg 0.000 0.263 0.253
Mg 0.000 0.263 0.747
Mg 0.000 0.500 0.000
Mg 0.000 0.500 0.500
Mg 0.000 0.737 0.253
Mg 0.000 0.737 0.747
Mg 0.500 0.000 0.255
Mg 0.500 0.000 0.745
Mg 0.500 0.261 0.500
Mg 0.500 0.265 0.000
Mg 0.500 0.500 0.251
Mg 0.500 0.500 0.749
Mg 0.500 0.735 0.000
Mg 0.500 0.739 0.500
O 0.000 0.000 0.259
O 0.000 0.000 0.741
O 0.000 0.274 0.500
O 0.000 0.282 0.000
O 0.000 0.500 0.253
O 0.000 0.500 0.747
O 0.000 0.718 0.000
O 0.000 0.726 0.500
O 0.500 0.000 0.000
O 0.500 0.000 0.500
O 0.500 0.252 0.250
O 0.500 0.252 0.750
O 0.500 0.500 0.000
O 0.500 0.500 0.500
O 0.500 0.748 0.250
O 0.500 0.748 0.750

***

Which one sits at the top of the stability order? i does.